This record from the Materials Project database describes crystalline CrH at its relaxed geometry. The functional is PBE-GGA.

total DFT energy (no corrections) = -6.3255 eV per atom
space-group type = P6_3mc
total energy after the MP2020 corrections = -6.41 eV per atom

Cell and atoms, written as POSCAR:
```
CrH
1.0
-1.379 -2.389 0.000
-1.379 2.389 0.000
0.000 0.000 -4.501
Cr H
2 2
Cartesian
-1.379 0.796 -4.497
-1.379 -0.796 -2.247
-1.379 0.796 -2.817
-1.379 -0.796 -0.567
```


This record from the Materials Project database describes crystalline Cr2H24I3N9 at its relaxed geometry. The functional is PBE-GGA.

total DFT energy (no corrections) = -5.1923 eV per atom
space-group type = P6_3/mmc
total energy after the MP2020 corrections = -5.28 eV per atom

Cell and atoms, written as POSCAR:
```
Cr2H24I3N9
1.0
3.879 -6.719 0.000
3.879 6.719 0.000
0.000 0.000 18.323
H N Cr I
48 18 4 6
Cartesian
1.635 -2.580 13.742
3.053 -4.544 16.184
2.296 0.372 2.139
5.296 -4.012 13.742
5.199 -1.478 10.094
2.559 1.478 8.230
2.296 0.372 7.022
5.462 0.372 2.139
3.879 3.763 8.230
4.705 4.544 2.139
3.879 -3.763 10.094
1.470 1.803 2.139
2.296 -0.372 11.301
2.559 1.478 0.932
5.462 0.372 7.022
1.470 1.803 7.022
2.559 -1.478 10.094
3.052 0.126 4.581
3.053 4.544 2.139
2.462 -4.012 13.742
1.635 2.580 4.581
3.052 -0.126 13.742
4.705 -4.544 16.184
3.053 4.544 7.022
2.296 -0.372 16.184
1.470 -1.803 11.301
4.705 4.544 7.022
6.288 1.803 7.022
3.879 3.763 0.932
5.462 -0.372 11.301
4.705 -4.544 11.301
3.053 -4.544 11.301
5.199 1.478 8.230
5.462 -0.372 16.184
6.288 -1.803 16.184
6.288 1.803 2.139
2.559 -1.478 17.391
3.879 -3.763 17.391
6.123 2.580 4.581
2.462 4.012 4.581
5.199 1.478 0.932
1.470 -1.803 16.184
5.296 4.012 4.581
4.706 0.126 4.581
5.199 -1.478 17.391
6.123 -2.580 13.742
6.288 -1.803 11.301
4.706 -0.126 13.742
2.573 2.994 4.581
2.382 1.375 7.222
2.382 -1.375 11.102
5.185 2.994 4.581
3.879 -3.968 16.383
3.879 3.968 1.940
5.376 1.375 7.222
5.376 -1.375 16.383
3.879 0.731 4.581
3.879 -3.968 11.102
2.382 1.375 1.940
2.382 -1.375 16.383
3.879 -0.731 13.742
3.879 3.968 7.222
5.376 -1.375 11.102
5.185 -2.994 13.742
2.573 -2.994 13.742
5.376 1.375 1.940
3.879 -2.240 12.354
3.879 -2.240 15.131
3.879 2.240 3.192
3.879 2.240 5.969
0.000 0.000 4.581
3.879 -2.240 7.666
0.000 0.000 13.742
3.879 2.240 16.828
3.879 2.240 10.657
3.879 -2.240 1.496
```


This record from the Materials Project database describes crystalline Hf4Cr at its relaxed geometry. The functional is PBE-GGA.

total DFT energy (no corrections) = -8.9890 eV per atom
space-group type = Fd-3m

Cell and atoms, written as POSCAR:
```
Hf4Cr
1.0
-4.827 -4.827 0.000
-4.827 0.000 -4.827
0.000 -4.827 -4.827
Hf Cr
8 2
Cartesian
-1.366 -3.460 -3.460
-1.366 -1.366 -1.366
-5.874 -5.874 -5.874
-3.779 -3.779 -5.874
-5.874 -3.779 -3.779
-3.779 -5.874 -3.779
-3.460 -3.460 -1.366
-3.460 -1.366 -3.460
-7.240 -7.240 -7.240
0.000 0.000 0.000
```


This record from the Materials Project database describes crystalline HfCrP at its relaxed geometry. The functional is PBE-GGA.

total DFT energy (no corrections) = -9.2127 eV per atom
space-group type = Pnma

Cell and atoms, written as POSCAR:
```
HfCrP
1.0
3.609 0.000 0.000
0.000 6.351 0.000
0.000 0.000 7.547
Cr Hf P
4 4 4
Cartesian
2.707 2.365 3.383
0.902 3.986 4.164
0.902 0.810 7.157
2.707 5.540 0.390
2.707 6.113 5.067
2.707 2.937 6.253
0.902 3.413 1.294
0.902 0.238 2.480
0.902 4.843 6.495
2.707 4.683 2.722
2.707 1.508 1.052
0.902 1.668 4.825
```


This record from the Materials Project database describes crystalline Hf2Cr4Si5 at its relaxed geometry. The functional is PBE-GGA.

total DFT energy (no corrections) = -8.3315 eV per atom
space-group type = Ibam
total energy after the MP2020 corrections = -8.30 eV per atom

Cell and atoms, written as POSCAR:
```
Hf2Cr4Si5
1.0
-2.465 3.780 8.023
2.465 -3.780 8.023
2.465 3.780 -8.023
Cr Hf Si
8 4 10
Cartesian
0.000 1.904 0.999
0.000 1.876 9.022
1.232 0.000 4.945
1.232 3.780 3.078
1.232 0.000 11.101
2.465 1.876 7.024
2.465 1.904 -0.999
1.232 3.780 -3.078
0.000 2.868 5.753
2.465 0.913 2.270
2.465 2.868 -5.753
0.000 0.913 13.776
3.697 0.000 0.000
0.000 4.338 1.030
0.000 5.356 4.636
2.465 3.223 1.030
0.000 1.575 3.387
0.000 0.558 6.993
2.465 2.205 4.636
1.232 0.000 0.000
2.465 -0.558 6.993
2.465 -1.575 3.387
```


This record from the Materials Project database describes crystalline HfCrSi at its relaxed geometry. The functional is PBE-GGA.

total DFT energy (no corrections) = -8.9378 eV per atom
space-group type = Pnma
total energy after the MP2020 corrections = -8.91 eV per atom

Cell and atoms, written as POSCAR:
```
HfCrSi
1.0
0.000 -3.457 0.000
-6.730 0.000 0.000
0.000 0.000 -7.856
Si Hf Cr
4 4 4
Cartesian
-1.607 -2.593 -6.821
-4.972 -2.593 -4.962
-1.758 -0.864 -2.894
-5.123 -0.864 -1.034
-3.644 -0.864 -6.519
-0.279 -0.864 -5.265
-3.086 -2.593 -1.337
-6.451 -2.593 -2.591
-2.515 -2.593 -4.411
-5.880 -2.593 -7.373
-0.850 -0.864 -0.483
-4.215 -0.864 -3.445
```


This record from the Materials Project database describes crystalline Hf2Cr3Si at its relaxed geometry. The functional is PBE-GGA.

total DFT energy (no corrections) = -9.3918 eV per atom
space-group type = P6_3/mmc
total energy after the MP2020 corrections = -9.38 eV per atom

Cell and atoms, written as POSCAR:
```
Hf2Cr3Si
1.0
2.496 -4.322 0.000
2.496 4.322 0.000
0.000 0.000 8.269
Hf Si Cr
4 2 6
Cartesian
2.496 -1.441 4.659
2.496 1.441 3.610
2.496 1.441 0.524
2.496 -1.441 7.745
0.000 0.000 0.000
0.000 0.000 4.135
1.291 -0.746 2.067
3.700 0.746 6.202
2.496 -2.831 2.067
2.496 2.831 6.202
3.700 -0.746 2.067
1.291 0.746 6.202
```


This record from the Materials Project database describes crystalline Ho3CrS6 at its relaxed geometry. The functional is PBE-GGA.

total DFT energy (no corrections) = -6.5456 eV per atom
space-group type = Pnnm
total energy after the MP2020 corrections = -6.85 eV per atom

Cell and atoms, written as POSCAR:
```
Ho3CrS6
1.0
-2.403 -2.893 0.143
7.438 -6.608 -8.707
8.382 -6.371 11.996
Ho S Cr
12 24 4
Cartesian
4.059 -5.687 2.689
6.425 -5.603 -5.392
7.841 -9.102 -2.850
12.197 -9.920 4.291
12.408 -12.698 1.163
9.358 -10.185 0.744
9.378 -7.558 4.711
6.442 -5.421 -1.422
3.623 -3.059 -1.001
5.576 -6.770 6.282
9.395 -7.376 8.681
1.009 -3.174 2.269
2.349 -4.168 4.693
1.358 -3.697 -2.452
5.679 -7.333 -3.389
6.662 -5.461 1.468
3.878 -5.686 -0.329
7.170 -7.888 10.442
11.067 -11.704 -1.261
6.701 -8.046 -0.631
6.715 -7.826 4.063
7.738 -8.539 6.821
14.016 -11.493 3.045
7.093 -5.490 8.147
9.158 -7.517 1.821
11.999 -9.895 1.452
8.727 -7.489 -4.857
5.714 -4.515 4.688
9.538 -10.186 3.762
12.059 -12.175 5.884
6.247 -7.984 -7.010
4.713 -4.082 -3.391
3.821 -3.084 1.837
11.107 -8.897 6.680
1.804 -1.486 0.244
10.106 -8.464 -1.399
6.708 -7.936 1.716
4.191 -3.185 5.998
0.000 0.000 0.000
2.517 -4.751 -4.282
```